# PrY3

PrY3 after structural relaxation (PBE-GGA, the Materials Project database).

Geometry as CIF:
```
data_PrY3
_chemical_formula_sum 'Pr1 Y3'
_cell_length_a 6.2610
_cell_length_b 6.2610
_cell_length_c 6.2610
_cell_angle_alpha 131.71
_cell_angle_beta 131.71
_cell_angle_gamma 70.70
_space_group_name_H-M_alt 'P 1'
_space_group_IT_number 1
loop_
_space_group_symop_operation_xyz
'x,y,z'
loop_
_atom_site_label
_atom_site_fract_x
_atom_site_fract_y
_atom_site_fract_z
_atom_site_occupancy
Pr1 0.0000 0.0000 0.0000 1
Y1 0.2500 0.7500 0.5000 1
Y2 0.5000 0.5000 0.0000 1
Y3 0.7500 0.2500 0.5000 1
```

- Polymorph energy (0 for the lowest one): 9 meV/atom